[1]
Compound: Er3Co4Ge13
Source: the Materials Project
Functional: GGA-PBE
Structure: optimized geometry

Cell lengths 8.7637, 8.7637, 8.7637 Å; angles 90.00, 90.00, 90.00 degrees
Space group Pm-3n (No. 223)
Inequivalent atoms, fractional coordinates:
Er 0.0000 0.2500 0.5000 x6
Co 0.2500 0.2500 0.2500 x8
Ge 0.0000 0.0000 0.0000 x2
Ge 0.0000 0.3049 0.1530 x24

[2]
Compound: K7Mo36S44
Source: the Materials Project
Functional: GGA-PBE
Structure: optimized geometry

Cell lengths 13.2024, 18.7360, 16.2017 Å; angles 90.00, 113.87, 90.00 degrees
Space group Pc (No. 7)
Inequivalent atoms, fractional coordinates:
K 0.0000 0.0000 0.0000 x2
K 0.0000 0.5000 0.0000 x2
K 0.2107 0.0001 0.3949 x2
K 0.2106 0.4998 0.3948 x2
K 0.5000 0.2500 0.0000 x2
K 0.7068 0.2500 0.3966 x2
K 0.7103 0.2500 0.8945 x2
Mo 0.0219 0.2081 0.1140 x2
Mo 0.0216 0.2918 0.6138 x2
Mo 0.0639 0.2130 0.8451 x2
Mo 0.0644 0.2872 0.3452 x2
Mo 0.1051 0.1664 0.6973 x2
Mo 0.1052 0.3337 0.1974 x2
Mo 0.1468 0.2870 0.0498 x2
Mo 0.1478 0.2133 0.5494 x2
Mo 0.1895 0.2079 0.2815 x2
Mo 0.1886 0.2919 0.7810 x2
Mo 0.2373 0.1675 0.1397 x2
Mo 0.2377 0.3317 0.6395 x2
Mo 0.3111 0.2051 0.7128 x2
Mo 0.3114 0.2951 0.2146 x2
Mo 0.3993 0.4550 0.1810 x2
Mo 0.3997 0.0450 0.6806 x2
Mo 0.4731 0.0828 0.2553 x2
Mo 0.4742 0.4178 0.7551 x2
Mo 0.5211 0.4579 0.6132 x2
Mo 0.5216 0.0420 0.1138 x2
Mo 0.5637 0.0371 0.8454 x2
Mo 0.5641 0.4627 0.3464 x2
Mo 0.6053 0.0842 0.6974 x2
Mo 0.6052 0.4165 0.1972 x2
Mo 0.6460 0.0375 0.5491 x2
Mo 0.6465 0.4629 0.0488 x2
Mo 0.6889 0.0417 0.2809 x2
Mo 0.6890 0.4582 0.7811 x2
Mo 0.7364 0.0819 0.1396 x2
Mo 0.7362 0.4173 0.6395 x2
Mo 0.8115 0.0454 0.7138 x2
Mo 0.8107 0.4552 0.2137 x2
Mo 0.8983 0.2045 0.6805 x2
Mo 0.8999 0.2949 0.1810 x2
Mo 0.9741 0.1680 0.2551 x2
Mo 0.9738 0.3322 0.7552 x2
S 0.0010 0.0986 0.7668 x2
S 0.0011 0.4016 0.2670 x2
S 0.0748 0.1655 0.9938 x2
S 0.0749 0.3345 0.4938 x2
S 0.1052 0.0976 0.1974 x2
S 0.1050 0.4023 0.6975 x2
S 0.1355 0.3346 0.9012 x2
S 0.1360 0.1656 0.4011 x2
S 0.2094 0.0985 0.6280 x2
S 0.2095 0.4015 0.1281 x2
S 0.2571 0.1739 0.8497 x2
S 0.2568 0.3260 0.3490 x2
S 0.3325 0.0673 0.0980 x2
S 0.3331 0.2500 0.0837 x2
S 0.3326 0.4325 0.5976 x2
S 0.3349 0.2500 0.5826 x2
S 0.3775 0.0000 0.3112 x2
S 0.3773 0.1830 0.2969 x2
S 0.3782 0.3172 0.7970 x2
S 0.3776 0.5000 0.3113 x2
S 0.4534 0.0757 0.5457 x2
S 0.4528 0.4239 0.0451 x2
S 0.5011 0.1516 0.7664 x2
S 0.5010 0.3490 0.2665 x2
S 0.5749 0.0843 0.9938 x2
S 0.5748 0.4157 0.4944 x2
S 0.6054 0.1524 0.1974 x2
S 0.6053 0.3483 0.6976 x2
S 0.6353 0.0840 0.4005 x2
S 0.6355 0.4157 0.9009 x2
S 0.7087 0.1512 0.6281 x2
S 0.7092 0.3484 0.1280 x2
S 0.7575 0.0762 0.8497 x2
S 0.7576 0.4238 0.3496 x2
S 0.8320 0.1828 0.0977 x2
S 0.8328 0.9999 0.0835 x2
S 0.8329 0.3172 0.5983 x2
S 0.8329 0.5001 0.0836 x2
S 0.8773 0.2500 0.8112 x2
S 0.8781 0.0672 0.2971 x2
S 0.8776 0.2500 0.3113 x2
S 0.8780 0.4328 0.7969 x2
S 0.9528 0.1738 0.5453 x2
S 0.9528 0.3261 0.0450 x2

no.,ΔH_f (0 K) (eV per atom),total magnetic moment (μB per cell),energy (eV/atom)
1,-0.407,0.00,-5.5192
2,-1.018,0.00,-7.4326